This record from Materials Project describes an optimized crystal structure of Li2V3CoO8. The functional is GGA+U.

Summary:
Calculated density ... 3.95 Mg/m³
Calculated formation energy ... -2.33 eV/atom
Relative energy among the computed polymorphs ... 96 meV/atom
Space group ... P1, No. 1

POSCAR file:
```
Li2V3CoO8
1.0
-1.4890 -2.9819 -7.7220
8.1148 1.0147 -1.9600
1.6298 -7.7942 2.7033
O V Li Co
32 12 8 4
direct
0.3613 0.6381 0.1384
0.3593 0.1445 0.6224
0.3911 0.8698 0.8985
0.1429 0.6215 0.3596
0.3557 0.3776 0.8595
0.6411 0.6444 0.8783
0.8877 0.1117 0.6119
0.8788 0.6402 0.6430
0.6225 0.3597 0.1444
0.1397 0.8559 0.1219
0.6119 0.8877 0.1121
0.3881 0.3880 0.3879
0.3698 0.6015 0.6089
0.1306 0.3982 0.1090
0.8982 0.3913 0.8696
0.6012 0.6094 0.3698
0.8553 0.1215 0.1400
0.1118 0.6119 0.8880
0.6092 0.3698 0.6014
0.8699 0.8985 0.3910
0.3988 0.1093 0.1298
0.1013 0.8906 0.6299
0.1214 0.1400 0.8553
0.3778 0.8594 0.3554
0.8630 0.8622 0.8629
0.6300 0.1010 0.8904
0.1374 0.3626 0.6377
0.8598 0.3569 0.3783
0.8907 0.6302 0.1016
0.6448 0.8780 0.6407
0.6387 0.1382 0.3619
0.1089 0.1303 0.3985
0.1214 0.3742 0.8804
0.8753 0.6207 0.8780
0.3737 0.8798 0.1211
0.6213 0.8783 0.8750
0.1255 0.1205 0.6217
0.6271 0.3801 0.3787
0.3796 0.3786 0.6256
0.1194 0.6216 0.1272
0.3784 0.6254 0.3793
0.8785 0.8736 0.6205
0.6215 0.1259 0.1205
0.8798 0.1211 0.3743
0.7522 0.2478 0.7478
0.7479 0.7522 0.2482
0.1259 0.8744 0.3739
0.3743 0.1257 0.8740
0.2477 0.7480 0.7522
0.2522 0.2520 0.2520
0.8741 0.3740 0.1258
0.6259 0.6260 0.6257
0.4990 0.5012 0.0012
0.9986 0.9990 0.9986
0.0011 0.4989 0.5011
0.5010 0.0010 0.4990
```